Compound: Ce2CdCu2
Source: the Materials Project database
Functional: PBE
Structure: relaxed

```
Ce2CdCu2
1.0
-2.221 -5.117 0.891
3.071 -1.672 4.436
-4.644 1.177 5.790
Cu Cd Ce
4 2 4
direct
0.126 0.673 0.403
0.327 0.874 0.597
0.874 0.327 0.597
0.673 0.126 0.403
0.776 0.224 0.000
0.224 0.776 0.000
0.668 0.668 0.273
0.201 0.201 0.260
0.799 0.799 0.740
0.332 0.332 0.727
```

Results
Its uncorrected energy is -43.50 eV per cell. The value obtained for the volume is 225.8 Å³ per cell. The value obtained for the formation energy from the elements is -0.15 eV per atom. The calculation puts the density at 7.64 g/cm³.